A geometry-optimized CaSnS3 structure, computed with PBE.

VASP energy = -4.559 eV per atom
formation energy from the elements = -1175 meV per atom
crystal system = monoclinic
corrected total energy (MP2020 scheme) = -4.860 eV per atom

Cell and atoms, written as POSCAR:
```
CaSnS3
1.0
15.6536 -3.5482 0.0000
15.6536 3.5482 0.0000
-6.8478 0.0000 14.6690
Ca Sn S
12 12 36
Direct
0.0000 0.0000 0.0000 Ca
0.0777 0.1697 0.6422 Ca
0.1110 0.4008 0.2442 Ca
0.1489 0.3528 0.5873 Ca
0.2826 0.4709 0.1881 Ca
0.3184 0.4419 0.9236 Ca
0.5291 0.7174 0.8119 Ca
0.5575 0.4425 0.5000 Ca
0.5581 0.6816 0.0764 Ca
0.5992 0.8890 0.7558 Ca
0.6472 0.8511 0.4127 Ca
0.8303 0.9223 0.3578 Ca
0.0375 0.1744 0.2185 Sn
0.0400 0.1874 0.9341 Sn
0.1269 0.3300 0.9414 Sn
0.3073 0.4142 0.4906 Sn
0.3779 0.5956 0.7766 Sn
0.4044 0.6221 0.2234 Sn
0.5858 0.6927 0.5094 Sn
0.6700 0.8731 0.0586 Sn
0.8126 0.9600 0.0659 Sn
0.8256 0.9625 0.7815 Sn
0.8758 0.1221 0.3216 Sn
0.8779 0.1242 0.6784 Sn
0.1480 0.4312 0.7970 S
0.1550 0.7579 0.3279 S
0.1796 0.6976 0.4376 S
0.1841 0.6964 0.8631 S
0.1981 0.6593 0.0941 S
0.2421 0.8450 0.6721 S
0.2492 0.1447 0.0459 S
0.3024 0.8204 0.5624 S
0.3036 0.8159 0.1369 S
0.3107 0.0618 0.8140 S
0.3247 0.0579 0.2663 S
0.3407 0.8019 0.9059 S
0.3515 0.0248 0.5913 S
0.3767 0.2392 0.0172 S
0.4147 0.2160 0.7584 S
0.4365 0.1752 0.5356 S
0.4460 0.1738 0.2122 S
0.4834 0.1433 0.3448 S
0.5688 0.8520 0.2030 S
0.6152 0.2538 0.3161 S
0.6969 0.1725 0.5473 S
0.7200 0.1118 0.9468 S
0.7462 0.3848 0.6839 S
0.7608 0.6233 0.9828 S
0.7639 0.2124 0.8167 S
0.7840 0.5853 0.2416 S
0.7876 0.2361 0.1833 S
0.8248 0.5635 0.4644 S
0.8262 0.5540 0.7878 S
0.8275 0.3031 0.4527 S
0.8553 0.7508 0.9541 S
0.8567 0.5166 0.6552 S
0.8882 0.2800 0.0532 S
0.9382 0.6893 0.1860 S
0.9421 0.6753 0.7337 S
0.9752 0.6485 0.4087 S
```